Record 1
DFT (PBE) results for a relaxed SrH6C2O6 crystal.

```
data_SrH6C2O6
_cell_length_a 7.212
_cell_length_b 7.467
_cell_length_c 12.212
_cell_angle_alpha 90.00
_cell_angle_beta 90.00
_cell_angle_gamma 90.00
_space_group_name_H-M_alt 'P 21 21 21'
_space_group_IT_number 19
_space_group_name_Hall 'P 2ac 2ab'
loop_
_atom_site_label
_atom_site_fract_x
_atom_site_fract_y
_atom_site_fract_z
Sr1 0.193 0.244 0.428
H1 0.028 0.702 0.422
H2 0.031 0.455 0.929
H3 0.089 0.059 0.658
H4 0.129 0.954 0.256
H5 0.133 0.486 0.690
H6 0.204 0.113 0.833
C1 0.044 0.141 0.007
C2 0.213 0.524 0.187
O1 0.015 0.079 0.590
O2 0.051 0.971 0.003
O3 0.112 0.246 0.936
O4 0.122 0.437 0.259
O5 0.144 0.620 0.112
O6 0.242 0.017 0.780
```

Summary:
- polymorph energy (0 for the lowest one) (meV/atom) = 0
- M_tot (μB per formula unit) = 0.001
- total DFT energy (no corrections) (eV per atom) = -5.991
- DFT formation energy (eV/atom) = -1.587



Record 2
DFT (PBE) results for a relaxed K2Nb3S6 crystal.

```
data_K2Nb3S6
_cell_length_a 15.874
_cell_length_b 10.280
_cell_length_c 5.935
_cell_angle_alpha 90.00
_cell_angle_beta 90.00
_cell_angle_gamma 90.00
_space_group_name_H-M_alt 'A m m 2'
_space_group_IT_number 38
_space_group_name_Hall 'A 2 -2'
loop_
_atom_site_label
_atom_site_fract_x
_atom_site_fract_y
_atom_site_fract_z
K1 0.000 0.167 0.000
K2 0.500 0.167 0.333
Nb1 0.250 0.000 0.499
Nb2 0.250 0.167 0.000
S1 0.153 0.000 0.168
S2 0.153 0.166 0.666
S3 0.347 0.000 0.165
S4 0.347 0.166 0.668
```

Summary:
- total DFT energy (no corrections) (eV per atom) = -6.441
- DFT formation energy (eV/atom) = -1.503



Record 3
DFT (PBE) results for a relaxed HfFeSi2 crystal.

```
data_HfFeSi2
_cell_length_a 5.147
_cell_length_b 7.708
_cell_length_c 16.972
_cell_angle_alpha 90.00
_cell_angle_beta 90.00
_cell_angle_gamma 90.00
_space_group_name_H-M_alt 'I m m m'
_space_group_IT_number 71
_space_group_name_Hall '-I 2 2'
loop_
_atom_site_label
_atom_site_fract_x
_atom_site_fract_y
_atom_site_fract_z
Hf1 0.000 0.000 0.142
Hf2 0.000 0.262 0.404
Fe1 0.000 0.255 0.000
Fe2 0.250 0.250 0.250
Si1 0.000 0.000 0.298
Si2 0.000 0.349 0.139
Si3 0.000 0.500 0.286
Si4 0.241 0.000 0.500
Si5 0.246 0.500 0.500
```

Summary:
- total DFT energy (no corrections) (eV per atom) = -8.005
- DFT formation energy (eV/atom) = -0.650



Record 4
DFT (PBE) results for a relaxed Na2MgGaF7 crystal.

```
data_Na2MgGaF7
_cell_length_a 7.234
_cell_length_b 10.351
_cell_length_c 7.519
_cell_angle_alpha 90.00
_cell_angle_beta 90.00
_cell_angle_gamma 90.00
_space_group_name_H-M_alt 'I m m a'
_space_group_IT_number 74
_space_group_name_Hall '-I 2b 2'
loop_
_atom_site_label
_atom_site_fract_x
_atom_site_fract_y
_atom_site_fract_z
Na1 0.000 0.000 0.000
Na2 0.250 0.250 0.250
Mg1 0.250 0.250 0.750
Ga1 0.000 0.000 0.500
F1 0.000 0.091 0.273
F2 0.000 0.250 0.851
F3 0.195 0.115 0.567
```

Summary:
- M_tot (μB per formula unit) = 0.000
- total DFT energy (no corrections) (eV per atom) = -4.832
- DFT formation energy (eV/atom) = -3.246



Question: Among the records above, which one has the highest total DFT energy (no corrections)?
Answer: Na2MgGaF7